1.
HoSiRh | PBE | optimized geometry

```
data_HoSiRh
_symmetry_space_group_name_H-M 'P n m a'
_symmetry_Int_Tables_number 62
_cell_length_a 6.884
_cell_length_b 4.241
_cell_length_c 7.400
_cell_angle_alpha 90.00
_cell_angle_beta 90.00
_cell_angle_gamma 90.00
loop_
_symmetry_equiv_pos_as_xyz
'x,y,z'
'-x,-y,-z'
'-x+1/2,-y,z+1/2'
'x+1/2,y,-z+1/2'
'x+1/2,-y+1/2,-z+1/2'
'-x+1/2,y+1/2,z+1/2'
'-x,y+1/2,-z'
'x,-y+1/2,z'
loop_
_atom_site_label
_atom_site_fract_x
_atom_site_fract_y
_atom_site_fract_z
_atom_site_occupancy
Ho1 0.000 0.250 0.190 1
Si1 0.205 0.250 0.604 1
Rh1 0.154 0.750 0.430 1
```



2.
HoSi2Rh2 | PBE | optimized geometry

```
data_HoSi2Rh2
_symmetry_space_group_name_H-M 'I 4/m m m'
_symmetry_Int_Tables_number 139
_symmetry_space_group_name_Hall '-I 4 2'
_cell_length_a 4.061
_cell_length_b 4.061
_cell_length_c 9.971
_cell_angle_alpha 90.00
_cell_angle_beta 90.00
_cell_angle_gamma 90.00
loop_
_atom_site_label
_atom_site_fract_x
_atom_site_fract_y
_atom_site_fract_z
_atom_site_occupancy
Ho1 0.000 0.000 0.000 1
Si1 0.000 0.000 0.379 1
Rh1 0.000 0.500 0.250 1
```



| no. | total DFT energy (no corrections) (eV/atom) |
| --- | --- |
| 1 | -6.85 |
| 2 | -7.15 |